# NaGdMn4O12

A relaxed structure of NaGdMn4O12 (PBE+U, Materials Project).

Calculated values
E (MP2020): -135.29 eV/f.u.
E_form: -1.3262 eV/atom
Space-group type: Amm2, No. 38

Cell: 7.562 5.257 5.257 Å, 87.21 90.00 90.00°
Atoms (fractional coordinates):
Na1 0.000 0.000 0.000
Gd1 0.500 0.526 0.526
Mn1 0.239 0.028 0.519
Mn2 0.239 0.519 0.028
Mn3 0.761 0.028 0.519
Mn4 0.761 0.519 0.028
O1 0.000 0.586 0.959
O2 0.000 0.959 0.586
O3 0.192 0.215 0.215
O4 0.259 0.340 0.699
O5 0.259 0.699 0.340
O6 0.319 0.811 0.811
O7 0.500 0.080 0.447
O8 0.500 0.447 0.080
O9 0.681 0.811 0.811
O10 0.741 0.340 0.699
O11 0.741 0.699 0.340
O12 0.808 0.215 0.215


# GdMn2O4

A relaxed structure of GdMn2O4 (PBE+U, Materials Project).

Calculated values
E (MP2020): -70.33 eV/f.u.
E_form: -2.5918 eV/atom
Space-group type: C2/m, No. 12

Cell: 6.527 6.527 6.267 Å, 118.23 118.23 56.98°
Atoms (fractional coordinates):
Gd1 0.125 0.125 0.388
Gd2 0.875 0.875 0.612
Mn1 0.000 0.500 0.000
Mn2 0.500 0.000 0.000
Mn3 0.500 0.500 0.000
Mn4 0.500 0.500 0.500
O1 0.250 0.250 0.220
O2 0.268 0.709 0.263
O3 0.269 0.269 0.799
O4 0.291 0.732 0.737
O5 0.709 0.268 0.263
O6 0.731 0.731 0.201
O7 0.732 0.291 0.737
O8 0.750 0.750 0.780


# Gd2MnSbO7

A relaxed structure of Gd2MnSbO7 (PBE+U, Materials Project).

Calculated values
E (MP2020): -108.14 eV/f.u.
E_form: -2.9143 eV/atom
Space-group type: Imma, No. 74

Cell: 7.371 7.371 7.371 Å, 121.56 118.66 89.83°
Atoms (fractional coordinates):
Gd1 0.000 0.000 0.000
Gd2 0.500 0.000 0.000
Gd3 0.500 0.000 0.500
Gd4 0.500 0.500 0.500
Mn1 0.000 0.000 0.500
Mn2 0.000 0.500 0.000
Sb1 0.000 0.500 0.500
Sb2 0.500 0.500 0.000
O1 0.080 0.830 0.250
O2 0.090 0.419 0.259
O3 0.090 0.831 0.672
O4 0.327 0.577 0.750
O5 0.341 0.169 0.759
O6 0.341 0.581 0.172
O7 0.373 0.123 0.250
O8 0.627 0.877 0.750
O9 0.659 0.419 0.828
O10 0.659 0.831 0.241
O11 0.673 0.423 0.250
O12 0.910 0.169 0.328
O13 0.910 0.581 0.741
O14 0.920 0.170 0.750


# Gd4Mo4O11

A relaxed structure of Gd4Mo4O11 (PBE+U, Materials Project).

Calculated values
E (MP2020): -204.76 eV/f.u.
E_form: -2.6656 eV/atom
Space-group type: Pbam, No. 55

Cell: 10.926 16.181 5.764 Å, 90.00 90.00 90.00°
Atoms (fractional coordinates):
Gd1 0.080 0.099 0.000
Gd2 0.098 0.238 0.500
Gd3 0.119 0.923 0.500
Gd4 0.185 0.777 0.000
Gd5 0.315 0.277 0.000
Gd6 0.381 0.423 0.500
Gd7 0.402 0.738 0.500
Gd8 0.420 0.599 0.000
Gd9 0.580 0.401 0.000
Gd10 0.598 0.262 0.500
Gd11 0.619 0.577 0.500
Gd12 0.685 0.723 0.000
Gd13 0.815 0.223 0.000
Gd14 0.881 0.077 0.500
Gd15 0.902 0.762 0.500
Gd16 0.920 0.901 0.000
Mo1 0.082 0.441 0.500
Mo2 0.091 0.432 0.000
Mo3 0.132 0.584 0.225
Mo4 0.132 0.584 0.775
Mo5 0.368 0.084 0.225
Mo6 0.368 0.084 0.775
Mo7 0.409 0.932 0.000
Mo8 0.418 0.941 0.500
Mo9 0.582 0.059 0.500
Mo10 0.591 0.068 0.000
Mo11 0.632 0.916 0.225
Mo12 0.632 0.916 0.775
Mo13 0.868 0.416 0.225
Mo14 0.868 0.416 0.775
Mo15 0.909 0.568 0.000
Mo16 0.918 0.559 0.500
O1 0.000 0.000 0.255
O2 0.000 0.000 0.745
O3 0.039 0.665 0.000
O4 0.040 0.827 0.253
O5 0.040 0.827 0.747
O6 0.049 0.652 0.500
O7 0.185 0.365 0.259
O8 0.185 0.365 0.741
O9 0.228 0.174 0.238
O10 0.228 0.174 0.762
O11 0.228 0.525 0.500
O12 0.243 0.514 0.000
O13 0.257 0.014 0.000
O14 0.272 0.025 0.500
O15 0.272 0.674 0.238
O16 0.272 0.674 0.762
O17 0.315 0.865 0.259
O18 0.315 0.865 0.741
O19 0.451 0.152 0.500
O20 0.460 0.327 0.253
O21 0.460 0.327 0.747
O22 0.461 0.165 0.000
O23 0.500 0.500 0.255
O24 0.500 0.500 0.745
O25 0.539 0.835 0.000
O26 0.540 0.673 0.253
O27 0.540 0.673 0.747
O28 0.549 0.848 0.500
O29 0.685 0.135 0.259
O30 0.685 0.135 0.741
O31 0.728 0.326 0.238
O32 0.728 0.326 0.762
O33 0.728 0.975 0.500
O34 0.743 0.986 0.000
O35 0.757 0.486 0.000
O36 0.772 0.475 0.500
O37 0.772 0.826 0.238
O38 0.772 0.826 0.762
O39 0.815 0.635 0.259
O40 0.815 0.635 0.741
O41 0.951 0.348 0.500
O42 0.960 0.173 0.253
O43 0.960 0.173 0.747
O44 0.961 0.335 0.000


# Gd2Mo2O7

A relaxed structure of Gd2Mo2O7 (PBE+U, Materials Project).

Calculated values
E (MP2020): -116.16 eV/f.u.
E_form: -2.8798 eV/atom
Space-group type: Fd-3m, No. 227

Cell: 7.432 7.432 7.432 Å, 60.00 60.00 60.00°
Atoms (fractional coordinates):
Gd1 0.000 0.000 0.000
Gd2 0.000 0.000 0.500
Gd3 0.000 0.500 0.000
Gd4 0.500 0.000 0.000
Mo1 0.000 0.500 0.500
Mo2 0.500 0.000 0.500
Mo3 0.500 0.500 0.000
Mo4 0.500 0.500 0.500
O1 0.125 0.125 0.125
O2 0.164 0.164 0.586
O3 0.164 0.586 0.164
O4 0.164 0.586 0.586
O5 0.414 0.414 0.836
O6 0.414 0.836 0.414
O7 0.414 0.836 0.836
O8 0.586 0.164 0.164
O9 0.586 0.164 0.586
O10 0.586 0.586 0.164
O11 0.836 0.414 0.414
O12 0.836 0.414 0.836
O13 0.836 0.836 0.414
O14 0.875 0.875 0.875


# GdMoO5

A relaxed structure of GdMoO5 (PBE+U, Materials Project).

Calculated values
E (MP2020): -67.17 eV/f.u.
E_form: -2.5014 eV/atom
Space-group type: P2_1/c, No. 14

Cell: 5.402 12.651 6.978 Å, 90.00 115.40 90.00°
Atoms (fractional coordinates):
Gd1 0.145 0.055 0.289
Gd2 0.145 0.445 0.789
Gd3 0.855 0.555 0.211
Gd4 0.855 0.945 0.711
Mo1 0.413 0.139 0.856
Mo2 0.413 0.361 0.356
Mo3 0.587 0.639 0.644
Mo4 0.587 0.861 0.144
O1 0.003 0.579 0.952
O2 0.003 0.921 0.452
O3 0.207 0.064 0.965
O4 0.207 0.436 0.465
O5 0.267 0.652 0.422
O6 0.267 0.848 0.922
O7 0.294 0.230 0.287
O8 0.294 0.270 0.787
O9 0.488 0.573 0.839
O10 0.488 0.927 0.339
O11 0.512 0.073 0.661
O12 0.512 0.427 0.161
O13 0.706 0.730 0.213
O14 0.706 0.770 0.713
O15 0.733 0.152 0.078
O16 0.733 0.348 0.578
O17 0.793 0.564 0.535
O18 0.793 0.936 0.035
O19 0.997 0.079 0.548
O20 0.997 0.421 0.048


# RbGdMo2O8

A relaxed structure of RbGdMo2O8 (PBE+U, Materials Project).

Calculated values
E (MP2020): -106.45 eV/f.u.
E_form: -2.5097 eV/atom
Space-group type: C2/c, No. 15

Cell: 7.595 7.595 7.811 Å, 118.06 118.06 88.56°
Atoms (fractional coordinates):
Rb1 0.199 0.801 0.750
Rb2 0.801 0.199 0.250
Gd1 0.229 0.771 0.250
Gd2 0.771 0.229 0.750
Mo1 0.304 0.306 0.763
Mo2 0.306 0.304 0.263
Mo3 0.694 0.696 0.737
Mo4 0.696 0.694 0.237
O1 0.050 0.207 0.692
O2 0.070 0.383 0.127
O3 0.207 0.050 0.192
O4 0.235 0.384 0.562
O5 0.368 0.584 0.029
O6 0.383 0.070 0.627
O7 0.384 0.235 0.062
O8 0.416 0.632 0.471
O9 0.584 0.368 0.529
O10 0.616 0.765 0.938
O11 0.617 0.930 0.373
O12 0.632 0.416 0.971
O13 0.765 0.616 0.438
O14 0.793 0.950 0.808
O15 0.930 0.617 0.873
O16 0.950 0.793 0.308


# RbGdMo2O8

A relaxed structure of RbGdMo2O8 (PBE+U, Materials Project).

Calculated values
E (MP2020): -106.72 eV/f.u.
E_form: -2.5324 eV/atom
Space-group type: Pbcn, No. 60

Cell: 5.194 18.944 8.297 Å, 90.00 90.00 90.00°
Atoms (fractional coordinates):
Rb1 0.000 0.231 0.250
Rb2 0.000 0.769 0.750
Rb3 0.500 0.269 0.750
Rb4 0.500 0.731 0.250
Gd1 0.000 0.007 0.750
Gd2 0.000 0.993 0.250
Gd3 0.500 0.493 0.250
Gd4 0.500 0.507 0.750
Mo1 0.023 0.400 0.516
Mo2 0.023 0.600 0.016
Mo3 0.477 0.100 0.016
Mo4 0.477 0.900 0.516
Mo5 0.523 0.100 0.484
Mo6 0.523 0.900 0.984
Mo7 0.977 0.400 0.984
Mo8 0.977 0.600 0.484
O1 0.099 0.314 0.975
O2 0.099 0.686 0.475
O3 0.229 0.402 0.341
O4 0.229 0.598 0.841
O5 0.239 0.410 0.687
O6 0.239 0.590 0.187
O7 0.250 0.036 0.504
O8 0.250 0.464 0.004
O9 0.250 0.536 0.504
O10 0.250 0.964 0.004
O11 0.261 0.090 0.187
O12 0.261 0.910 0.687
O13 0.271 0.098 0.841
O14 0.271 0.902 0.341
O15 0.401 0.186 0.475
O16 0.401 0.814 0.975
O17 0.599 0.186 0.025
O18 0.599 0.814 0.525
O19 0.729 0.098 0.659
O20 0.729 0.902 0.159
O21 0.739 0.090 0.313
O22 0.739 0.910 0.813
O23 0.750 0.036 0.996
O24 0.750 0.464 0.496
O25 0.750 0.536 0.996
O26 0.750 0.964 0.496
O27 0.761 0.410 0.813
O28 0.761 0.590 0.313
O29 0.771 0.402 0.159
O30 0.771 0.598 0.659
O31 0.901 0.314 0.525
O32 0.901 0.686 0.025


# Gd2MoSe3O12

A relaxed structure of Gd2MoSe3O12 (PBE+U, Materials Project).

Calculated values
E (MP2020): -149.16 eV/f.u.
E_form: -2.2390 eV/atom
Space-group type: P-1, No. 2

Cell: 6.662 7.219 10.999 Å, 85.19 73.05 86.42°
Atoms (fractional coordinates):
Gd1 0.206 0.179 0.167
Gd2 0.268 0.361 0.490
Gd3 0.732 0.639 0.510
Gd4 0.794 0.821 0.833
Mo1 0.278 0.109 0.792
Mo2 0.722 0.891 0.208
Se1 0.201 0.659 0.216
Se2 0.210 0.860 0.508
Se3 0.340 0.641 0.859
Se4 0.660 0.359 0.141
Se5 0.790 0.140 0.492
Se6 0.799 0.341 0.784
O1 0.042 0.189 0.393
O2 0.057 0.870 0.195
O3 0.083 0.602 0.381
O4 0.100 0.497 0.150
O5 0.177 0.832 0.821
O6 0.217 0.169 0.952
O7 0.281 0.039 0.584
O8 0.306 0.327 0.701
O9 0.357 0.663 0.541
O10 0.428 0.348 0.268
O11 0.445 0.732 0.963
O12 0.453 0.972 0.235
O13 0.547 0.028 0.765
O14 0.555 0.268 0.037
O15 0.572 0.652 0.732
O16 0.643 0.337 0.459
O17 0.694 0.673 0.299
O18 0.719 0.961 0.416
O19 0.783 0.831 0.048
O20 0.823 0.168 0.179
O21 0.900 0.503 0.850
O22 0.917 0.398 0.619
O23 0.943 0.130 0.805
O24 0.958 0.811 0.607


# Sr2GdMoO6

A relaxed structure of Sr2GdMoO6 (PBE+U, Materials Project).

Calculated values
E (MP2020): -88.55 eV/f.u.
E_form: -3.0558 eV/atom
Space-group type: P2_1/c, No. 14

Cell: 5.898 5.982 10.155 Å, 90.00 124.81 90.00°
Atoms (fractional coordinates):
Sr1 0.237 0.037 0.249
Sr2 0.237 0.463 0.749
Sr3 0.763 0.537 0.251
Sr4 0.763 0.963 0.751
Gd1 0.500 0.000 0.000
Gd2 0.500 0.500 0.500
Mo1 0.000 0.000 0.500
Mo2 0.000 0.500 0.000
O1 0.148 0.228 0.948
O2 0.148 0.272 0.448
O3 0.226 0.698 0.959
O4 0.226 0.802 0.459
O5 0.321 0.024 0.731
O6 0.321 0.476 0.231
O7 0.679 0.524 0.769
O8 0.679 0.976 0.269
O9 0.774 0.198 0.541
O10 0.774 0.302 0.041
O11 0.852 0.728 0.552
O12 0.852 0.772 0.052


# Gd2NiO4

A relaxed structure of Gd2NiO4 (PBE+U, Materials Project).

Calculated values
E (MP2020): -74.30 eV/f.u.
E_form: -2.9401 eV/atom
Space-group type: I4/mmm, No. 139

Cell: 6.589 6.589 6.589 Å, 146.11 146.11 48.68°
Atoms (fractional coordinates):
Gd1 0.136 0.136 0.000
Gd2 0.864 0.864 0.000
Ni1 0.500 0.500 0.000
O1 0.000 0.500 0.500
O2 0.319 0.319 0.000
O3 0.500 0.000 0.500
O4 0.681 0.681 0.000


# Sr2Gd2TlNi2O9

A relaxed structure of Sr2Gd2TlNi2O9 (PBE+U, Materials Project).

Calculated values
E (MP2020): -129.44 eV/f.u.
E_form: -2.4658 eV/atom
Space-group type: Fmm2, No. 42

Cell: 15.033 3.811 15.029 Å, 82.78 14.57 82.66°
Atoms (fractional coordinates):
Sr1 0.085 0.915 0.085
Sr2 0.915 0.085 0.915
Gd1 0.197 0.791 0.209
Gd2 0.791 0.197 0.803
Tl1 0.537 0.537 0.463
Ni1 0.347 0.644 0.356
Ni2 0.644 0.347 0.653
O1 0.147 0.344 0.156
O2 0.273 0.715 0.285
O3 0.344 0.147 0.354
O4 0.422 0.564 0.436
O5 0.564 0.422 0.578
O6 0.646 0.844 0.656
O7 0.715 0.273 0.727
O8 0.844 0.646 0.853
O9 0.973 0.973 0.027